Record 1
The following is a PBE-GGA calculation of LiGaPt after structural relaxation, from the Materials Project database.

Results
Magnetization = 0.0001 μB per atom
Density = 10.9 g/cm³
Calculated total energy = -4.3069 eV/atom
DFT formation energy = -637 meV/atom

abc: 4.2029 4.2029 5.4202
angles: 90.00 90.00 120.00
Space group P6_3/mmc (No. 194)
Asymmetric unit:
Li 0.3333 0.6667 0.2500 x2
Ga 0.3333 0.6667 0.7500 x2
Pt 0.0000 0.0000 0.0000 x2

***

Record 2
The following is a PBE-GGA calculation of Sm2Al9Co3 after structural relaxation, from the Materials Project database.

Results
Density = 5.3 g/cm³
Calculated total energy = -5.1461 eV/atom
DFT formation energy = -541 meV/atom

abc: 12.7673 7.5245 9.4000
angles: 90.00 90.00 90.00
Space group Cmcm (No. 63)
Asymmetric unit:
Sm 0.1614 0.1678 0.2500 x8
Al 0.0000 0.1265 0.7500 x4
Al 0.0000 0.3328 0.0410 x8
Al 0.1063 0.4445 0.7500 x8
Al 0.1676 0.1677 0.5696 x16
Co 0.0000 0.0000 0.0000 x4
Co 0.1705 0.5000 0.0000 x8

***

Record 3
The following is a PBE-GGA calculation of Ho3Si6Pd20 after structural relaxation, from the Materials Project database.

Results
Density = 9.9 g/cm³
Calculated total energy = -6.0024 eV/atom
DFT formation energy = -834 meV/atom

abc: 12.3091 12.3091 12.3091
angles: 90.00 90.00 90.00
Space group Fm-3m (No. 225)
Asymmetric unit:
Ho 0.0000 0.0000 0.0000 x4
Ho 0.2500 0.2500 0.2500 x8
Si 0.0000 0.0000 0.2684 x24
Pd 0.0000 0.1725 0.1725 x48
Pd 0.1172 0.1172 0.3828 x32

***

Record 4
The following is a PBE-GGA calculation of Ba14Na17CaN6 after structural relaxation, from the Materials Project database.

Results
Magnetization = 0.0000 μB per atom
Density = 2.6 g/cm³
Calculated total energy = -2.9033 eV/atom
DFT formation energy = -293 meV/atom

abc: 11.1738 12.0440 13.7269
angles: 66.69 67.61 78.80
Space group P-1 (No. 2)
Asymmetric unit:
Ba 0.0237 0.2113 0.3807 x2
Ba 0.1152 0.4311 0.7664 x2
Ba 0.1308 0.2209 0.0543 x2
Ba 0.1581 0.8375 0.0434 x2
Ba 0.2236 0.6910 0.8035 x2
Ba 0.2374 0.4792 0.0943 x2
Ba 0.4698 0.3818 0.8223 x2
Na 0.0871 0.0862 0.6868 x2
Na 0.1306 0.5989 0.3946 x2
Na 0.2634 0.9042 0.2910 x2
Na 0.3309 0.3106 0.4440 x2
Na 0.3522 0.9716 0.4916 x2
Na 0.3639 0.1074 0.7458 x2
Na 0.4048 0.6451 0.4845 x2
Na 0.4596 0.1845 0.1888 x2
Na 0.5000 0.0000 0.0000 x1
Ca 0.0000 0.5000 0.0000 x1
N 0.0118 0.3580 0.1931 x2
N 0.0736 0.6729 0.0240 x2
N 0.2366 0.4411 0.9067 x2

***

Record 5
The following is a PBE-GGA calculation of La2Te4Pb after structural relaxation, from the Materials Project database.

Results
Magnetization = 0.0001 μB per atom
Density = 7.1 g/cm³
Calculated total energy = -4.9682 eV/atom
DFT formation energy = -1231 meV/atom

abc: 9.7485 9.7485 9.7772
angles: 90.00 90.00 90.00
Space group I-42d (No. 122)
Asymmetric unit:
La 0.1288 0.7500 0.1250 x8
Te 0.0760 0.6720 0.4460 x16
Pb 0.0000 0.0000 0.5000 x4

***

Record 6
The following is a PBE-GGA calculation of La2UTe5 after structural relaxation, from the Materials Project database.

Results
Magnetization = 0.2858 μB per atom
Density = 7.2 g/cm³
Calculated total energy = -5.8054 eV/atom
DFT formation energy = -1459 meV/atom

abc: 19.0208 6.2529 8.9778
angles: 90.00 90.71 90.00
Space group C2 (No. 5)
Asymmetric unit:
La 0.0873 0.0000 0.2363 x4
La 0.2495 0.9905 0.7675 x4
U 0.0830 0.4736 0.7624 x4
Te 0.0000 0.2440 0.5000 x2
Te 0.0000 0.7377 0.5000 x2
Te 0.0805 0.4958 0.1278 x4
Te 0.0837 0.9802 0.8596 x4
Te 0.1812 0.2509 0.5024 x4
Te 0.2457 0.4909 0.8614 x4

***

Record 7
The following is a PBE-GGA calculation of CaGa after structural relaxation, from the Materials Project database.

Results
Density = 3.5 g/cm³
Calculated total energy = -2.9928 eV/atom
DFT formation energy = -476 meV/atom

abc: 4.0907 11.5685 4.4305
angles: 90.00 90.00 90.00
Space group Cmcm (No. 63)
Asymmetric unit:
Ca 0.0000 0.1465 0.2500 x4
Ga 0.0000 0.4319 0.2500 x4

***

Record 8
The following is a PBE-GGA calculation of HfTaNO3 after structural relaxation, from the Materials Project database.

Results
Magnetization = 0.0000 μB per atom
Density = 10.5 g/cm³
Calculated total energy = -10.0727 eV/atom
Distance to the lowest polymorph of the same formula = 114 meV per atom
DFT formation energy = -2917 meV/atom

abc: 3.5235 3.5896 5.2943
angles: 90.00 90.00 90.00
Space group Pmm2 (No. 25)
Asymmetric unit:
Hf 0.0000 0.0000 0.0000 x1
Ta 0.5000 0.5000 0.5226 x1
N 0.5000 0.0000 0.6910 x1
O 0.0000 0.5000 0.3365 x1
O 0.0000 0.5000 0.8211 x1
O 0.5000 0.0000 0.2003 x1

***

Record 9
The following is a PBE-GGA calculation of BaIn2Rh after structural relaxation, from the Materials Project database.

Results
Density = 7.2 g/cm³
Calculated total energy = -4.1583 eV/atom
DFT formation energy = -462 meV/atom

abc: 4.5095 11.7537 8.1737
angles: 90.00 90.00 90.00
Space group Cmcm (No. 63)
Asymmetric unit:
Ba 0.0000 0.0517 0.2500 x4
In 0.0000 0.3338 0.0557 x8
Rh 0.0000 0.2182 0.7500 x4

***

Record 10
The following is a PBE-GGA calculation of SrH2O2 after structural relaxation, from the Materials Project database.

Results
Density = 3.3 g/cm³
Calculated total energy = -5.5155 eV/atom
DFT formation energy = -2116 meV/atom

abc: 10.0266 3.9595 6.0794
angles: 90.00 90.00 90.00
Space group Pnma (No. 62)
Asymmetric unit:
Sr 0.1590 0.2500 0.0997 x4
H 0.0320 0.7500 0.3726 x4
H 0.0928 0.7500 0.6867 x4
O 0.1042 0.7500 0.8475 x4
O 0.1292 0.7500 0.3704 x4

***

Record 11
The following is a PBE-GGA calculation of TbDyIn2 after structural relaxation, from the Materials Project database.

Results
Density = 8.5 g/cm³
Calculated total energy = -4.1489 eV/atom
DFT formation energy = -463 meV/atom

abc: 7.5530 7.5530 7.5530
angles: 90.00 90.00 90.00
Space group Fm-3m (No. 225)
Asymmetric unit:
Tb 0.0000 0.0000 0.0000 x4
Dy 0.0000 0.0000 0.5000 x4
In 0.2500 0.2500 0.2500 x8

***

Record 12
The following is a PBE-GGA calculation of TiCrCuS4 after structural relaxation, from the Materials Project database.

Results
Magnetization = 0.4287 μB per atom
Density = 4.1 g/cm³
Calculated total energy = -6.1514 eV/atom
Distance to the lowest polymorph of the same formula = 204 meV per atom
DFT formation energy = -983 meV/atom

abc: 3.4311 12.3893 11.0942
angles: 90.00 90.00 90.00
Space group Pmc2_1 (No. 26)
Asymmetric unit:
Ti 0.0000 0.1318 0.0000 x2
Ti 0.0000 0.3305 0.5462 x2
Cr 0.5000 0.1676 0.3640 x2
Cr 0.5000 0.3695 0.9025 x2
Cu 0.0000 0.0742 0.7153 x2
Cu 0.5000 0.4135 0.1777 x2
S 0.0000 0.0395 0.3885 x2
S 0.0000 0.3024 0.3339 x2
S 0.0000 0.3194 0.0504 x2
S 0.0000 0.4150 0.7648 x2
S 0.5000 0.0906 0.1494 x2
S 0.5000 0.1844 0.8528 x2
S 0.5000 0.1907 0.5772 x2
S 0.5000 0.4628 0.5174 x2

***

Record 13
The following is a PBE-GGA calculation of CuReO4 after structural relaxation, from the Materials Project database.

Results
Magnetization = 0.0001 μB per atom
Density = 6.5 g/cm³
Calculated total energy = -7.2894 eV/atom
DFT formation energy = -1691 meV/atom

abc: 6.6329 7.8595 9.7471
angles: 101.49 104.66 94.05
Space group P-1 (No. 2)
Asymmetric unit:
Cu 0.0387 0.4578 0.1746 x2
Cu 0.2391 0.2127 0.9402 x2
Cu 0.3834 0.7893 0.5153 x2
Re 0.0964 0.1202 0.3962 x2
Re 0.2726 0.8665 0.1583 x2
Re 0.4494 0.4520 0.7358 x2
O 0.0094 0.9218 0.2319 x2
O 0.0468 0.2865 0.3008 x2
O 0.0768 0.6982 0.0288 x2
O 0.1362 0.9008 0.5378 x2
O 0.2133 0.4442 0.7930 x2
O 0.2817 0.0229 0.0522 x2
O 0.2898 0.2430 0.5598 x2
O 0.3071 0.6687 0.3000 x2
O 0.3654 0.0371 0.3485 x2
O 0.3701 0.4087 0.1083 x2
O 0.4059 0.5943 0.6154 x2
O 0.4783 0.2179 0.8468 x2